Entry from Materials Project: a relaxed structure of Cs2TlAgCl6 (r²SCAN).

Cell: 7.4986 7.4986 7.4986 Å, 60.00 60.00 60.00°
Atoms (fractional coordinates):
Cs 0.2500 0.2500 0.2500
Cs 0.7500 0.7500 0.7500
Tl 0.0000 0.0000 0.0000
Ag 0.5000 0.5000 0.5000
Cl 0.2482 0.2482 0.7518
Cl 0.2482 0.7518 0.2482
Cl 0.2482 0.7518 0.7518
Cl 0.7518 0.2482 0.2482
Cl 0.7518 0.2482 0.7518
Cl 0.7518 0.7518 0.2482

Output
total moment	0.00	μB per formula unit
VASP energy	-175.69	eV for the cell shown
formation energy	-1.4027	eV/atom